DFT (GGA-PBE) results for a relaxed AgB5H6N2Cl5 crystal.

Calculated values
Its formation energy from the elements is -0.690 eV per atom. The symmetry is Pbcn. Its crystal system is orthorhombic.

Lattice parameters (Å, degrees): 15.085 12.532 14.014 90.00 90.00 90.00
Element x y z (fractional)
Ag 0.206 0.102 0.063
Ag 0.206 0.898 0.563
Ag 0.294 0.398 0.563
Ag 0.294 0.602 0.063
Ag 0.706 0.398 0.937
Ag 0.706 0.602 0.437
Ag 0.794 0.102 0.437
Ag 0.794 0.898 0.937
B 0.016 0.297 0.850
B 0.016 0.703 0.350
B 0.034 0.162 0.803
B 0.034 0.838 0.303
B 0.059 0.355 0.738
B 0.059 0.645 0.238
B 0.078 0.219 0.692
B 0.078 0.781 0.192
B 0.113 0.259 0.800
B 0.113 0.741 0.300
B 0.387 0.241 0.300
B 0.387 0.759 0.800
B 0.422 0.281 0.192
B 0.422 0.719 0.692
B 0.441 0.145 0.238
B 0.441 0.855 0.738
B 0.466 0.338 0.303
B 0.466 0.662 0.803
B 0.484 0.203 0.350
B 0.484 0.797 0.850
B 0.516 0.203 0.150
B 0.516 0.797 0.650
B 0.534 0.338 0.197
B 0.534 0.662 0.697
B 0.559 0.145 0.262
B 0.559 0.855 0.762
B 0.578 0.281 0.308
B 0.578 0.719 0.808
B 0.613 0.241 0.200
B 0.613 0.759 0.700
B 0.887 0.259 0.700
B 0.887 0.741 0.200
B 0.922 0.219 0.808
B 0.922 0.781 0.308
B 0.941 0.355 0.762
B 0.941 0.645 0.262
B 0.966 0.162 0.697
B 0.966 0.838 0.197
B 0.984 0.297 0.650
B 0.984 0.703 0.150
H 0.063 0.211 0.128
H 0.063 0.789 0.628
H 0.089 0.120 0.209
H 0.089 0.880 0.709
H 0.141 0.443 0.471
H 0.141 0.557 0.971
H 0.146 0.233 0.203
H 0.146 0.767 0.703
H 0.198 0.446 0.973
H 0.198 0.554 0.473
H 0.223 0.461 0.395
H 0.223 0.539 0.895
H 0.277 0.039 0.895
H 0.277 0.961 0.395
H 0.302 0.054 0.473
H 0.302 0.946 0.973
H 0.354 0.267 0.703
H 0.354 0.733 0.203
H 0.359 0.057 0.971
H 0.359 0.943 0.471
H 0.411 0.380 0.709
H 0.411 0.620 0.209
H 0.437 0.289 0.628
H 0.437 0.711 0.128
H 0.563 0.289 0.872
H 0.563 0.711 0.372
H 0.589 0.380 0.791
H 0.589 0.620 0.291
H 0.641 0.057 0.529
H 0.641 0.943 0.029
H 0.646 0.267 0.797
H 0.646 0.733 0.297
H 0.698 0.054 0.027
H 0.698 0.946 0.527
H 0.723 0.039 0.605
H 0.723 0.961 0.105
H 0.777 0.461 0.105
H 0.777 0.539 0.605
H 0.802 0.446 0.527
H 0.802 0.554 0.027
H 0.854 0.233 0.297
H 0.854 0.767 0.797
H 0.859 0.443 0.029
H 0.859 0.557 0.529
H 0.911 0.120 0.291
H 0.911 0.880 0.791
H 0.937 0.211 0.372
H 0.937 0.789 0.872
N 0.114 0.176 0.163
N 0.114 0.824 0.663
N 0.203 0.473 0.464
N 0.203 0.527 0.964
N 0.297 0.027 0.964
N 0.297 0.973 0.464
N 0.386 0.324 0.663
N 0.386 0.676 0.163
N 0.614 0.324 0.837
N 0.614 0.676 0.337
N 0.703 0.027 0.536
N 0.703 0.973 0.036
N 0.797 0.473 0.036
N 0.797 0.527 0.536
N 0.886 0.176 0.337
N 0.886 0.824 0.837
Cl 0.014 0.346 0.972
Cl 0.014 0.654 0.472
Cl 0.058 0.038 0.863
Cl 0.058 0.962 0.363
Cl 0.114 0.480 0.713
Cl 0.114 0.520 0.213
Cl 0.156 0.169 0.606
Cl 0.156 0.831 0.106
Cl 0.222 0.261 0.849
Cl 0.222 0.739 0.349
Cl 0.278 0.239 0.349
Cl 0.278 0.761 0.849
Cl 0.344 0.331 0.106
Cl 0.344 0.669 0.606
Cl 0.386 0.020 0.213
Cl 0.386 0.980 0.713
Cl 0.442 0.462 0.363
Cl 0.442 0.538 0.863
Cl 0.486 0.154 0.472
Cl 0.486 0.846 0.972
Cl 0.514 0.154 0.028
Cl 0.514 0.846 0.528
Cl 0.558 0.462 0.137
Cl 0.558 0.538 0.637
Cl 0.614 0.020 0.287
Cl 0.614 0.980 0.787
Cl 0.656 0.331 0.394
Cl 0.656 0.669 0.894
Cl 0.722 0.239 0.151
Cl 0.722 0.761 0.651
Cl 0.778 0.261 0.651
Cl 0.778 0.739 0.151
Cl 0.844 0.169 0.894
Cl 0.844 0.831 0.394
Cl 0.886 0.480 0.787
Cl 0.886 0.520 0.287
Cl 0.942 0.038 0.637
Cl 0.942 0.962 0.137
Cl 0.986 0.346 0.528
Cl 0.986 0.654 0.028